Entry 1:
La2SiSeO4, optimized geometry, DFT PBE; uncorrected energy = -7.88 eV/atom; energy relative to the elements = -3.396 eV per atom; energy with MP2020 corrections = -0.302 Ha/atom
1.0
6.3406 0.0000 0.0000
0.0000 7.3762 0.0000
0.0000 0.0000 11.2883
La Si Se O
8 4 4 16
Direct
0.1087 0.2500 0.0000
0.1087 0.2500 0.5000
0.3720 0.5378 0.2500
0.3720 0.9622 0.7500
0.6280 0.0378 0.2500
0.6280 0.4622 0.7500
0.8913 0.7500 0.0000
0.8913 0.7500 0.5000
0.3860 0.7500 0.0000
0.3860 0.7500 0.5000
0.6140 0.2500 0.0000
0.6140 0.2500 0.5000
0.0738 0.6103 0.7500
0.0738 0.8897 0.2500
0.9262 0.1103 0.7500
0.9262 0.3897 0.2500
0.2305 0.5779 0.0323
0.2305 0.5779 0.4677
0.2305 0.9221 0.5323
0.2305 0.9221 0.9677
0.4549 0.2318 0.6160
0.4549 0.2318 0.8840
0.4549 0.2682 0.1160
0.4549 0.2682 0.3840
0.5451 0.7318 0.6160
0.5451 0.7318 0.8840
0.5451 0.7682 0.1160
0.5451 0.7682 0.3840
0.7695 0.0779 0.0323
0.7695 0.0779 0.4677
0.7695 0.4221 0.5323
0.7695 0.4221 0.9677



Entry 2:
La4Si2Se3O7, optimized geometry, DFT PBE; magnetization = 0.01 Bohr magnetons per cell; uncorrected energy = -7.61 eV/atom; energy relative to the elements = -3.174 eV per atom; energy with MP2020 corrections = -0.291 Ha/atom
1.0
-6.1796 6.1796 7.3985
6.1796 -6.1796 7.3985
6.1796 6.1796 -7.3985
La Si Se O
16 8 12 28
Direct
0.0472 0.2972 0.0943
0.0472 0.9528 0.7500
0.1757 0.6657 0.5100
0.2972 0.0472 0.5943
0.2972 0.7028 0.2500
0.3343 0.3443 0.5100
0.3343 0.8243 0.9900
0.3443 0.3343 0.0100
0.6557 0.6657 0.9900
0.6657 0.1757 0.0100
0.6657 0.6557 0.4900
0.7028 0.2972 0.7500
0.7028 0.9528 0.4057
0.8243 0.3343 0.4900
0.9528 0.0472 0.2500
0.9528 0.7028 0.9057
0.0943 0.2209 0.6267
0.0943 0.4676 0.8733
0.2209 0.0943 0.1267
0.4676 0.0943 0.3733
0.5324 0.9057 0.6267
0.7791 0.9057 0.8733
0.9057 0.5324 0.1267
0.9057 0.7791 0.3733
0.0000 0.3534 0.3534
0.0000 0.6466 0.6466
0.1250 0.8750 0.2500
0.3534 0.0000 0.8534
0.3534 0.5000 0.3534
0.3750 0.6250 0.7500
0.5000 0.3534 0.8534
0.5000 0.6466 0.1466
0.6250 0.3750 0.2500
0.6466 0.0000 0.1466
0.6466 0.5000 0.6466
0.8750 0.1250 0.7500
0.0745 0.5679 0.2263
0.0745 0.8481 0.5066
0.1388 0.3888 0.7500
0.1519 0.1584 0.2263
0.1519 0.9255 0.9934
0.1584 0.1519 0.7263
0.1584 0.4321 0.0066
0.1701 0.1968 0.5267
0.1701 0.6433 0.9733
0.1968 0.1701 0.0267
0.3567 0.8299 0.5267
0.3888 0.1388 0.2500
0.4321 0.1584 0.5066
0.4321 0.9255 0.2737
0.5679 0.0745 0.7263
0.5679 0.8416 0.4934
0.6112 0.8612 0.7500
0.6433 0.1701 0.4733
0.8032 0.8299 0.9733
0.8299 0.3567 0.0267
0.8299 0.8032 0.4733
0.8416 0.5679 0.9934
0.8416 0.8481 0.2737
0.8481 0.0745 0.0066
0.8481 0.8416 0.7737
0.8612 0.6112 0.2500
0.9255 0.1519 0.4934
0.9255 0.4321 0.7737



Entry 3:
La6Ti3Se9O5, optimized geometry, DFT PBE; magnetization = 3.05 Bohr magnetons per cell; uncorrected energy = -7.11 eV/atom; energy relative to the elements = -2.503 eV per atom; energy with MP2020 corrections = -0.267 Ha/atom; relative energy among the computed polymorphs = 0 meV/atom
1.0
22.1860 -1.9865 0.0000
22.1860 1.9865 0.0000
-1.3081 0.0000 11.1143
La Ti Se O
12 6 18 10
Direct
0.0372 0.0372 0.2458
0.1374 0.1374 0.1506
0.2885 0.2885 0.4925
0.2895 0.2895 0.0416
0.3878 0.3878 0.4860
0.4592 0.4592 0.2469
0.5408 0.5408 0.7531
0.6122 0.6122 0.5140
0.7105 0.7105 0.9584
0.7115 0.7115 0.5075
0.8626 0.8626 0.8494
0.9628 0.9628 0.7542
0.0000 0.0000 0.5000
0.1417 0.1417 0.8439
0.2304 0.2304 0.2399
0.5000 0.5000 0.0000
0.7696 0.7696 0.7601
0.8583 0.8583 0.1561
0.0406 0.0406 0.9740
0.0906 0.0906 0.6855
0.1561 0.1561 0.4386
0.2278 0.2278 0.7359
0.3100 0.3100 0.7821
0.3367 0.3367 0.2756
0.3874 0.3874 0.0508
0.4072 0.4072 0.7528
0.4602 0.4602 0.5294
0.5399 0.5399 0.4706
0.5928 0.5928 0.2472
0.6126 0.6126 0.9492
0.6633 0.6633 0.7244
0.6900 0.6900 0.2179
0.7722 0.7722 0.2641
0.8439 0.8439 0.5614
0.9094 0.9094 0.3145
0.9594 0.9594 0.0260
0.0129 0.0129 0.6720
0.1720 0.1720 0.9680
0.2324 0.2324 0.4173
0.2345 0.2345 0.0704
0.4888 0.4888 0.8291
0.5112 0.5112 0.1709
0.7655 0.7655 0.9296
0.7676 0.7676 0.5827
0.8280 0.8280 0.0320
0.9871 0.9871 0.3280